The following is a DFT calculation (PBE-GGA) of a geometry-optimized Al2H18SO15 structure.

Results
- Density: 1.52 g/cm3
- Calculated total energy: -5.139 eV per atom
- Formation energy: -1.34 eV/atom
- Relative energy among the computed polymorphs: 311 meV/atom

POSCAR file:
```
Al2H18SO15
1.0
7.932 0.000 0.000
0.000 16.320 0.000
-4.565 0.000 11.648
Al H S O
8 72 4 60
Direct
0.096 0.047 0.189
0.096 0.453 0.689
0.240 0.584 0.544
0.240 0.916 0.044
0.760 0.084 0.956
0.760 0.416 0.456
0.904 0.547 0.311
0.904 0.953 0.811
0.030 0.539 0.151
0.030 0.961 0.651
0.103 0.706 0.316
0.103 0.794 0.816
0.111 0.540 0.860
0.111 0.960 0.360
0.136 0.243 0.830
0.136 0.257 0.330
0.151 0.716 0.202
0.151 0.784 0.702
0.178 0.159 0.886
0.178 0.341 0.386
0.235 0.246 0.029
0.235 0.254 0.529
0.253 0.180 0.187
0.253 0.320 0.687
0.254 0.192 0.629
0.254 0.308 0.129
0.283 0.598 0.344
0.283 0.902 0.844
0.344 0.726 0.587
0.344 0.774 0.087
0.377 0.569 0.263
0.377 0.931 0.763
0.378 0.124 0.306
0.378 0.376 0.806
0.388 0.058 0.647
0.388 0.442 0.147
0.399 0.701 0.875
0.399 0.799 0.375
0.453 0.738 0.871
0.453 0.762 0.371
0.465 0.171 0.903
0.465 0.329 0.403
0.467 0.085 0.678
0.467 0.415 0.178
0.533 0.585 0.822
0.533 0.915 0.322
0.535 0.671 0.597
0.535 0.829 0.097
0.547 0.238 0.629
0.547 0.262 0.129
0.601 0.201 0.625
0.601 0.299 0.125
0.612 0.558 0.853
0.612 0.942 0.353
0.622 0.624 0.194
0.622 0.876 0.694
0.623 0.069 0.237
0.623 0.431 0.737
0.656 0.226 0.913
0.656 0.274 0.413
0.717 0.098 0.156
0.717 0.402 0.656
0.746 0.692 0.871
0.746 0.808 0.371
0.747 0.680 0.313
0.747 0.820 0.813
0.765 0.746 0.471
0.765 0.754 0.971
0.822 0.659 0.614
0.822 0.841 0.114
0.849 0.216 0.298
0.849 0.284 0.798
0.864 0.743 0.670
0.864 0.757 0.170
0.889 0.040 0.640
0.889 0.460 0.140
0.897 0.206 0.184
0.897 0.294 0.684
0.970 0.039 0.349
0.970 0.461 0.849
0.273 0.624 0.049
0.273 0.876 0.549
0.727 0.124 0.451
0.727 0.376 0.951
0.056 0.013 0.316
0.056 0.487 0.816
0.059 0.725 0.237
0.059 0.775 0.737
0.098 0.597 0.403
0.098 0.903 0.903
0.174 0.541 0.645
0.174 0.959 0.145
0.179 0.620 0.923
0.179 0.880 0.423
0.194 0.565 0.108
0.194 0.935 0.608
0.210 0.246 0.601
0.210 0.254 0.101
0.234 0.079 0.001
0.234 0.421 0.501
0.241 0.210 0.884
0.241 0.290 0.384
0.247 0.710 0.090
0.247 0.790 0.590
0.261 0.128 0.235
0.261 0.372 0.735
0.343 0.023 0.999
0.343 0.477 0.499
0.404 0.593 0.339
0.404 0.907 0.839
0.406 0.663 0.589
0.406 0.837 0.089
0.469 0.609 0.081
0.469 0.891 0.581
0.531 0.109 0.419
0.531 0.391 0.919
0.594 0.163 0.911
0.594 0.337 0.411
0.596 0.093 0.161
0.596 0.407 0.661
0.657 0.523 0.501
0.657 0.977 0.001
0.739 0.628 0.265
0.739 0.872 0.765
0.753 0.210 0.410
0.753 0.290 0.910
0.759 0.710 0.616
0.759 0.790 0.116
0.766 0.579 0.499
0.766 0.921 0.999
0.790 0.746 0.899
0.790 0.754 0.399
0.806 0.065 0.392
0.806 0.435 0.892
0.821 0.120 0.577
0.821 0.380 0.077
0.826 0.041 0.855
0.826 0.459 0.355
0.902 0.097 0.097
0.902 0.403 0.597
0.941 0.225 0.263
0.941 0.275 0.763
0.944 0.513 0.184
0.944 0.987 0.684
```

---

The following is a DFT calculation (PBE-GGA) of a geometry-optimized AlH5Se2O8 structure.

Results
- Density: 2.96 g/cm3
- Calculated total energy: -5.462 eV per atom
- Formation energy: -1.60 eV/atom

POSCAR file:
```
AlH5Se2O8
1.0
7.488 0.000 0.000
0.000 6.585 0.000
-5.249 0.000 7.230
Al H Se O
2 10 4 16
Direct
0.000 0.000 0.000
0.000 0.500 0.500
0.307 0.219 0.265
0.307 0.281 0.765
0.314 0.245 0.591
0.314 0.255 0.091
0.500 0.000 0.500
0.500 0.500 0.000
0.686 0.745 0.909
0.686 0.755 0.409
0.693 0.719 0.235
0.693 0.781 0.735
0.255 0.698 0.346
0.255 0.802 0.846
0.745 0.198 0.154
0.745 0.302 0.654
0.083 0.597 0.731
0.083 0.903 0.231
0.215 0.223 0.127
0.215 0.277 0.627
0.221 0.664 0.518
0.221 0.836 0.018
0.483 0.182 0.519
0.483 0.318 0.019
0.517 0.682 0.981
0.517 0.818 0.481
0.779 0.164 0.982
0.779 0.336 0.482
0.785 0.723 0.373
0.785 0.777 0.873
0.917 0.097 0.769
0.917 0.403 0.269
```